# Li5Mn3B4O12

A relaxed structure of Li5Mn3B4O12 (PBE+U, Materials Project).

Cell lengths 5.309, 9.175, 11.009 Å; angles 90.00, 117.25, 90.00 degrees
Sites, in units of the cell vectors:
Li (0.000, 0.081, 0.000)
Li (0.000, 0.919, 0.500)
Li (0.049, 0.231, 0.534)
Li (0.049, 0.769, 0.034)
Li (0.058, 0.266, 0.224)
Li (0.058, 0.734, 0.724)
Li (0.088, 0.417, 0.744)
Li (0.088, 0.583, 0.244)
Li (0.612, 0.255, 0.751)
Li (0.612, 0.745, 0.251)
Mn (0.481, 0.241, 0.984)
Mn (0.481, 0.759, 0.484)
Mn (0.524, 0.421, 0.497)
Mn (0.524, 0.579, 0.997)
Mn (0.571, 0.069, 0.255)
Mn (0.571, 0.931, 0.755)
B (0.002, 0.429, 0.995)
B (0.002, 0.571, 0.495)
B (0.090, 0.073, 0.754)
B (0.090, 0.927, 0.254)
B (0.510, 0.090, 0.506)
B (0.510, 0.910, 0.006)
B (0.577, 0.415, 0.239)
B (0.577, 0.585, 0.739)
O (0.153, 0.062, 0.219)
O (0.153, 0.938, 0.719)
O (0.222, 0.422, 0.958)
O (0.222, 0.578, 0.458)
O (0.256, 0.196, 0.761)
O (0.256, 0.804, 0.261)
O (0.379, 0.419, 0.289)
O (0.379, 0.581, 0.789)
O (0.389, 0.219, 0.515)
O (0.389, 0.781, 0.015)
O (0.410, 0.038, 0.040)
O (0.410, 0.962, 0.540)
O (0.669, 0.455, 0.704)
O (0.669, 0.545, 0.204)
O (0.677, 0.283, 0.216)
O (0.677, 0.717, 0.716)
O (0.724, 0.083, 0.466)
O (0.724, 0.917, 0.966)
O (0.867, 0.090, 0.785)
O (0.867, 0.910, 0.285)
O (0.869, 0.300, 0.997)
O (0.869, 0.700, 0.497)
O (0.932, 0.437, 0.528)
O (0.932, 0.563, 0.028)

Computed properties:
ΔH_f (0 K): -240.8 kJ/mol of atoms
SG: Pc
final energy: -339.6 eV/cell
energy with MP2020 corrections: -366.06 eV for the cell shown

=====

# Li3Mn3B4O12

A relaxed structure of Li3Mn3B4O12 (PBE+U, Materials Project).

Cell lengths 5.347, 9.078, 10.800 Å; angles 90.00, 117.16, 90.00 degrees
Sites, in units of the cell vectors:
Li (0.000, 0.071, 0.000)
Li (0.000, 0.929, 0.500)
Li (0.906, 0.406, 0.253)
Li (0.906, 0.594, 0.753)
Li (0.975, 0.265, 0.786)
Li (0.975, 0.735, 0.286)
Mn (0.404, 0.257, 0.242)
Mn (0.404, 0.743, 0.742)
Mn (0.448, 0.078, 0.749)
Mn (0.448, 0.922, 0.249)
Mn (0.475, 0.448, 0.501)
Mn (0.475, 0.552, 0.001)
B (0.021, 0.433, 0.018)
B (0.021, 0.567, 0.518)
B (0.422, 0.404, 0.751)
B (0.422, 0.596, 0.251)
B (0.480, 0.087, 0.480)
B (0.480, 0.913, 0.980)
B (0.907, 0.074, 0.244)
B (0.907, 0.926, 0.744)
O (0.088, 0.443, 0.465)
O (0.088, 0.557, 0.965)
O (0.135, 0.079, 0.212)
O (0.135, 0.921, 0.712)
O (0.190, 0.307, 0.044)
O (0.190, 0.693, 0.544)
O (0.301, 0.278, 0.762)
O (0.301, 0.722, 0.262)
O (0.327, 0.072, 0.553)
O (0.327, 0.928, 0.053)
O (0.338, 0.464, 0.293)
O (0.338, 0.536, 0.793)
O (0.524, 0.228, 0.440)
O (0.524, 0.772, 0.940)
O (0.583, 0.036, 0.943)
O (0.583, 0.964, 0.443)
O (0.627, 0.415, 0.705)
O (0.627, 0.585, 0.205)
O (0.764, 0.199, 0.240)
O (0.764, 0.801, 0.740)
O (0.793, 0.431, 0.042)
O (0.793, 0.569, 0.542)
O (0.846, 0.065, 0.780)
O (0.846, 0.935, 0.280)

Computed properties:
ΔH_f (0 K): -233.8 kJ/mol of atoms
SG: Pc
final energy: -318.7 eV/cell
energy with MP2020 corrections: -345.23 eV for the cell shown

=====

# LiMn2B2O6

A relaxed structure of LiMn2B2O6 (PBE+U, Materials Project).

Cell lengths 5.304, 11.440, 13.722 Å; angles 113.13, 91.42, 101.70 degrees
Sites, in units of the cell vectors:
Li (0.000, 0.000, 0.000)
Li (0.047, 0.493, 0.237)
Li (0.168, 0.323, 0.812)
Li (0.226, 0.829, 0.074)
Li (0.351, 0.676, 0.664)
Li (0.508, 0.988, 0.482)
Mn (0.052, 0.091, 0.616)
Mn (0.096, 0.206, 0.229)
Mn (0.111, 0.584, 0.860)
Mn (0.164, 0.699, 0.471)
Mn (0.371, 0.744, 0.267)
Mn (0.438, 0.868, 0.891)
Mn (0.442, 0.248, 0.520)
Mn (0.500, 0.360, 0.137)
Mn (0.709, 0.423, 0.944)
Mn (0.763, 0.527, 0.548)
Mn (0.782, 0.920, 0.199)
Mn (0.837, 0.037, 0.811)
B (0.200, 0.432, 0.448)
B (0.239, 0.518, 0.047)
B (0.279, 0.923, 0.698)
B (0.331, 0.022, 0.299)
B (0.524, 0.085, 0.113)
B (0.594, 0.199, 0.721)
B (0.606, 0.579, 0.361)
B (0.671, 0.695, 0.975)
B (0.871, 0.746, 0.779)
B (0.924, 0.864, 0.395)
B (0.952, 0.255, 0.039)
B (0.999, 0.355, 0.634)
O (0.014, 0.152, 0.963)
O (0.041, 0.353, 0.360)
O (0.059, 0.235, 0.571)
O (0.074, 0.980, 0.689)
O (0.085, 0.316, 0.145)
O (0.107, 0.471, 0.941)
O (0.112, 0.713, 0.796)
O (0.119, 0.064, 0.271)
O (0.137, 0.432, 0.731)
O (0.146, 0.553, 0.522)
O (0.150, 0.594, 0.135)
O (0.160, 0.823, 0.405)
O (0.321, 0.816, 0.615)
O (0.344, 0.985, 0.036)
O (0.364, 0.610, 0.350)
O (0.380, 0.906, 0.223)
O (0.422, 0.717, 0.960)
O (0.424, 0.406, 0.480)
O (0.431, 0.972, 0.795)
O (0.452, 0.132, 0.619)
O (0.455, 0.470, 0.050)
O (0.459, 0.201, 0.176)
O (0.469, 0.084, 0.395)
O (0.500, 0.283, 0.804)
O (0.702, 0.666, 0.692)
O (0.703, 0.505, 0.275)
O (0.728, 0.578, 0.905)
O (0.746, 0.633, 0.464)
O (0.757, 0.314, 0.024)
O (0.774, 0.068, 0.129)
O (0.783, 0.813, 0.296)
O (0.795, 0.387, 0.593)
O (0.828, 0.862, 0.854)
O (0.841, 0.176, 0.736)
O (0.847, 0.951, 0.482)
O (0.852, 0.788, 0.053)

Computed properties:
ΔH_f (0 K): -233.6 kJ/mol of atoms
SG: P1
final energy: -494.7 eV/cell
energy with MP2020 corrections: -539.46 eV for the cell shown